No. 1
# PBE with a Hubbard U LiP4WO12, relaxed
# magnetic moment = 3.000 μB/f.u.
# E (MP2020) = -566.48 eV/cell
# energy relative to the elements = -2.5402 eV/atom
# polymorph energy (0 for the lowest one) = 0.0 meV per atom
data_LiP4WO12
_chemical_formula_sum 'Li4 P16 W4 O48'
_cell_length_a 8.377
_cell_length_b 9.672
_cell_length_c 13.141
_cell_angle_alpha 90.00
_cell_angle_beta 90.00
_cell_angle_gamma 90.00
_space_group_name_H-M_alt 'P 1'
_space_group_IT_number 1
loop_
_space_group_symop_operation_xyz
'x,y,z'
loop_
_atom_site_label
_atom_site_type_symbol
_atom_site_fract_x
_atom_site_fract_y
_atom_site_fract_z
O1 O 0.456 0.123 0.076
O2 O 0.956 0.123 0.424
O3 O 0.044 0.623 0.424
O4 O 0.355 0.032 0.822
O5 O 0.868 0.882 0.368
O6 O 0.095 0.376 0.104
O7 O 0.318 0.127 0.433
O8 O 0.098 0.929 0.760
O9 O 0.402 0.429 0.740
O10 O 0.868 0.618 0.632
O11 O 0.598 0.929 0.740
O12 O 0.595 0.124 0.604
O13 O 0.182 0.627 0.067
O14 O 0.405 0.876 0.396
O15 O 0.632 0.382 0.132
O16 O 0.905 0.876 0.104
O17 O 0.595 0.376 0.396
O18 O 0.682 0.627 0.433
O19 O 0.905 0.624 0.896
O20 O 0.095 0.124 0.896
O21 O 0.855 0.032 0.678
O22 O 0.902 0.071 0.240
O23 O 0.645 0.968 0.178
O24 O 0.855 0.468 0.322
O25 O 0.456 0.377 0.924
O26 O 0.645 0.532 0.822
O27 O 0.956 0.377 0.576
O28 O 0.368 0.882 0.132
O29 O 0.182 0.873 0.933
O30 O 0.405 0.624 0.604
O31 O 0.145 0.532 0.678
O32 O 0.132 0.382 0.368
O33 O 0.544 0.877 0.924
O34 O 0.682 0.873 0.567
O35 O 0.145 0.968 0.322
O36 O 0.818 0.127 0.067
O37 O 0.132 0.118 0.632
O38 O 0.902 0.429 0.760
O39 O 0.355 0.468 0.178
O40 O 0.598 0.571 0.260
O41 O 0.544 0.623 0.076
O42 O 0.098 0.571 0.240
O43 O 0.402 0.071 0.260
O44 O 0.818 0.373 0.933
O45 O 0.044 0.877 0.576
O46 O 0.318 0.373 0.567
O47 O 0.368 0.618 0.868
O48 O 0.632 0.118 0.868
Li1 Li 0.508 0.250 0.500
Li2 Li 0.492 0.750 0.500
Li3 Li 0.992 0.750 0.000
Li4 Li 0.008 0.250 0.000
P1 P 0.676 0.997 0.638
P2 P 0.463 0.010 0.154
P3 P 0.463 0.490 0.846
P4 P 0.324 0.497 0.638
P5 P 0.537 0.510 0.154
P6 P 0.176 0.997 0.862
P7 P 0.176 0.503 0.138
P8 P 0.324 0.003 0.362
P9 P 0.676 0.503 0.362
P10 P 0.824 0.497 0.862
P11 P 0.037 0.510 0.346
P12 P 0.824 0.003 0.138
P13 P 0.963 0.490 0.654
P14 P 0.963 0.010 0.346
P15 P 0.037 0.990 0.654
P16 P 0.537 0.990 0.846
W1 W 0.130 0.250 0.500
W2 W 0.870 0.750 0.500
W3 W 0.630 0.250 0.000
W4 W 0.370 0.750 0.000

No. 2
# PBE with a Hubbard U LiP4WO12, relaxed
# magnetic moment = 3.000 μB/f.u.
# E (MP2020) = -282.11 eV/cell
# energy relative to the elements = -2.5087 eV/atom
# polymorph energy (0 for the lowest one) = 31.5 meV per atom
data_LiP4WO12
_chemical_formula_sum 'Li2 P8 W2 O24'
_cell_length_a 10.519
_cell_length_b 10.519
_cell_length_c 5.429
_cell_angle_alpha 81.47
_cell_angle_beta 81.47
_cell_angle_gamma 70.22
_space_group_name_H-M_alt 'P 1'
_space_group_IT_number 1
loop_
_space_group_symop_operation_xyz
'x,y,z'
loop_
_atom_site_label
_atom_site_type_symbol
_atom_site_fract_x
_atom_site_fract_y
_atom_site_fract_z
O1 O 0.562 0.344 0.324
O2 O 0.904 0.611 0.320
O3 O 0.656 0.438 0.676
O4 O 0.815 0.459 0.974
O5 O 0.389 0.096 0.680
O6 O 0.906 0.294 0.635
O7 O 0.706 0.094 0.365
O8 O 0.438 0.656 0.676
O9 O 0.094 0.706 0.365
O10 O 0.322 0.071 0.259
O11 O 0.759 0.241 0.000
O12 O 0.459 0.815 0.974
O13 O 0.929 0.678 0.741
O14 O 0.241 0.759 0.000
O15 O 0.858 0.858 0.384
O16 O 0.096 0.389 0.680
O17 O 0.541 0.185 0.026
O18 O 0.611 0.904 0.320
O19 O 0.185 0.541 0.026
O20 O 0.294 0.906 0.635
O21 O 0.678 0.929 0.741
O22 O 0.142 0.142 0.616
O23 O 0.344 0.562 0.324
O24 O 0.071 0.322 0.259
P1 P 0.628 0.225 0.180
P2 P 0.298 0.056 0.539
P3 P 0.944 0.702 0.461
P4 P 0.775 0.372 0.820
P5 P 0.056 0.298 0.539
P6 P 0.372 0.775 0.820
P7 P 0.702 0.944 0.461
P8 P 0.225 0.628 0.180
Li1 Li 0.567 0.567 0.394
Li2 Li 0.433 0.433 0.606
W1 W 0.000 0.500 0.000
W2 W 0.500 0.000 0.000

No. 3
# PBE with a Hubbard U LiP4WO13, relaxed
# magnetic moment = 1.000 μB/f.u.
# E (MP2020) = -297.43 eV/cell
# energy relative to the elements = -2.5196 eV/atom
# polymorph energy (0 for the lowest one) = 3.2 meV per atom
data_LiP4WO13
_chemical_formula_sum 'Li2 P8 W2 O26'
_cell_length_a 5.243
_cell_length_b 8.092
_cell_length_c 14.022
_cell_angle_alpha 78.80
_cell_angle_beta 85.84
_cell_angle_gamma 80.10
_space_group_name_H-M_alt 'P 1'
_space_group_IT_number 1
loop_
_space_group_symop_operation_xyz
'x,y,z'
loop_
_atom_site_label
_atom_site_type_symbol
_atom_site_fract_x
_atom_site_fract_y
_atom_site_fract_z
P1 P 0.127 0.797 0.129
P2 P 0.997 0.879 0.655
P3 P 0.307 0.654 0.804
P4 P 0.985 0.102 0.351
P5 P 0.348 0.581 0.313
P6 P 0.674 0.341 0.205
P7 P 0.865 0.207 0.859
P8 P 0.637 0.427 0.679
O1 O 0.193 0.558 0.405
O2 O 0.943 0.254 0.252
O3 O 0.550 0.703 0.304
O4 O 0.835 0.362 0.766
O5 O 0.301 0.512 0.887
O6 O 0.299 0.927 0.146
O7 O 0.814 0.970 0.335
O8 O 0.059 0.797 0.569
O9 O 0.506 0.400 0.297
O10 O 0.938 0.168 0.442
O11 O 0.541 0.198 0.181
O12 O 0.800 0.270 0.952
O13 O 0.840 0.881 0.152
O14 O 0.468 0.596 0.709
O15 O 0.164 0.740 0.035
O16 O 0.774 0.478 0.586
O17 O 0.707 0.072 0.840
O18 O 0.271 0.017 0.329
O19 O 0.693 0.482 0.121
O20 O 0.430 0.805 0.822
O21 O 0.707 0.962 0.666
O22 O 0.456 0.293 0.685
O23 O 0.162 0.016 0.667
O24 O 0.172 0.638 0.220
O25 O 0.159 0.129 0.844
O26 O 0.031 0.735 0.757
W1 W 0.432 0.049 0.754
W2 W 0.556 0.949 0.240
Li1 Li 0.556 0.461 0.998
Li2 Li 0.010 0.609 0.514

No. 4
# PBE with a Hubbard U LiPWO5, relaxed
# magnetic moment = 2.000 μB/f.u.
# E (MP2020) = -259.20 eV/cell
# energy relative to the elements = -2.4726 eV/atom
# polymorph energy (0 for the lowest one) = 0.0 meV per atom
data_LiPWO5
_chemical_formula_sum 'Li4 P4 W4 O20'
_cell_length_a 7.098
_cell_length_b 7.462
_cell_length_c 8.132
_cell_angle_alpha 89.67
_cell_angle_beta 92.38
_cell_angle_gamma 115.90
_space_group_name_H-M_alt 'P 1'
_space_group_IT_number 1
loop_
_space_group_symop_operation_xyz
'x,y,z'
loop_
_atom_site_label
_atom_site_type_symbol
_atom_site_fract_x
_atom_site_fract_y
_atom_site_fract_z
O1 O 0.927 0.906 0.698
O2 O 0.355 0.124 0.519
O3 O 0.567 0.097 0.819
O4 O 0.725 0.410 0.003
O5 O 0.913 0.355 0.761
O6 O 0.645 0.876 0.481
O7 O 0.243 0.751 0.663
O8 O 0.734 0.741 0.158
O9 O 0.201 0.376 0.510
O10 O 0.266 0.259 0.842
O11 O 0.576 0.637 0.723
O12 O 0.757 0.249 0.337
O13 O 0.433 0.903 0.181
O14 O 0.275 0.590 0.997
O15 O 0.087 0.645 0.239
O16 O 0.799 0.624 0.490
O17 O 0.073 0.094 0.302
O18 O 0.872 0.155 0.023
O19 O 0.128 0.845 0.977
O20 O 0.424 0.363 0.277
W1 W 0.246 0.001 0.758
W2 W 0.755 0.501 0.256
W3 W 0.754 0.999 0.242
W4 W 0.245 0.499 0.744
P1 P 0.265 0.241 0.406
P2 P 0.768 0.254 0.906
P3 P 0.232 0.746 0.094
P4 P 0.735 0.759 0.594
Li1 Li 0.703 0.183 0.569
Li2 Li 0.297 0.817 0.431
Li3 Li 0.218 0.296 0.070
Li4 Li 0.782 0.704 0.930

No. 5
# PBE with a Hubbard U LiP3W2O13, relaxed
# magnetic moment = 2.000 μB/f.u.
# E (MP2020) = -621.86 eV/cell
# energy relative to the elements = -2.4778 eV/atom
# polymorph energy (0 for the lowest one) = 0.0 meV per atom
data_LiP3W2O13
_chemical_formula_sum 'Li4 P12 W8 O52'
_cell_length_a 22.637
_cell_length_b 6.487
_cell_length_c 8.832
_cell_angle_alpha 52.72
_cell_angle_beta 90.00
_cell_angle_gamma 90.00
_space_group_name_H-M_alt 'P 1'
_space_group_IT_number 1
loop_
_space_group_symop_operation_xyz
'x,y,z'
loop_
_atom_site_label
_atom_site_type_symbol
_atom_site_fract_x
_atom_site_fract_y
_atom_site_fract_z
O1 O 0.085 0.646 0.459
O2 O 0.845 0.545 0.230
O3 O 0.112 0.246 0.478
O4 O 0.023 0.504 0.290
O5 O 0.155 0.455 0.770
O6 O 0.192 0.418 0.063
O7 O 0.840 0.061 0.208
O8 O 0.794 0.943 0.946
O9 O 0.066 0.811 0.705
O10 O 0.345 0.455 0.270
O11 O 0.436 0.262 0.526
O12 O 0.221 0.838 0.441
O13 O 0.737 0.515 0.183
O14 O 0.779 0.162 0.559
O15 O 0.263 0.485 0.817
O16 O 0.585 0.354 0.041
O17 O 0.660 0.061 0.708
O18 O 0.625 0.312 0.326
O19 O 0.434 0.811 0.205
O20 O 0.279 0.838 0.941
O21 O 0.888 0.754 0.522
O22 O 0.059 0.133 0.772
O23 O 0.875 0.312 0.826
O24 O 0.237 0.485 0.317
O25 O 0.523 0.496 0.210
O26 O 0.941 0.867 0.228
O27 O 0.375 0.688 0.674
O28 O 0.125 0.688 0.174
O29 O 0.294 0.057 0.554
O30 O 0.655 0.545 0.730
O31 O 0.441 0.133 0.272
O32 O 0.415 0.646 0.959
O33 O 0.915 0.354 0.541
O34 O 0.721 0.162 0.059
O35 O 0.936 0.738 0.974
O36 O 0.559 0.867 0.728
O37 O 0.160 0.939 0.792
O38 O 0.477 0.504 0.790
O39 O 0.692 0.582 0.437
O40 O 0.706 0.943 0.446
O41 O 0.064 0.262 0.026
O42 O 0.934 0.189 0.295
O43 O 0.763 0.515 0.683
O44 O 0.340 0.939 0.292
O45 O 0.564 0.738 0.474
O46 O 0.308 0.418 0.563
O47 O 0.388 0.246 0.978
O48 O 0.977 0.496 0.710
O49 O 0.808 0.582 0.937
O50 O 0.612 0.754 0.022
O51 O 0.566 0.189 0.795
O52 O 0.206 0.057 0.054
P1 P 0.901 0.980 0.301
P2 P 0.584 0.464 0.154
P3 P 0.084 0.536 0.346
P4 P 0.296 0.357 0.420
P5 P 0.099 0.020 0.699
P6 P 0.416 0.536 0.846
P7 P 0.599 0.980 0.801
P8 P 0.916 0.464 0.654
P9 P 0.704 0.643 0.580
P10 P 0.204 0.357 0.920
P11 P 0.796 0.643 0.080
P12 P 0.401 0.020 0.199
W1 W 0.792 0.255 0.958
W2 W 0.208 0.745 0.042
W3 W 0.708 0.255 0.458
W4 W 0.292 0.745 0.542
W5 W 0.565 0.555 0.722
W6 W 0.435 0.445 0.278
W7 W 0.935 0.555 0.222
W8 W 0.065 0.445 0.778
Li1 Li 0.150 0.975 0.290
Li2 Li 0.350 0.975 0.790
Li3 Li 0.850 0.025 0.710
Li4 Li 0.650 0.025 0.210

No. 6
# PBE with a Hubbard U LiP4WO12, relaxed
# magnetic moment = 3.000 μB/f.u.
# E (MP2020) = -282.00 eV/cell
# energy relative to the elements = -2.5058 eV/atom
# polymorph energy (0 for the lowest one) = 34.4 meV per atom
data_LiP4WO12
_chemical_formula_sum 'Li2 P8 W2 O24'
_cell_length_a 14.038
_cell_length_b 5.340
_cell_length_c 7.392
_cell_angle_alpha 84.03
_cell_angle_beta 90.00
_cell_angle_gamma 90.00
_space_group_name_H-M_alt 'P 1'
_space_group_IT_number 1
loop_
_space_group_symop_operation_xyz
'x,y,z'
loop_
_atom_site_label
_atom_site_type_symbol
_atom_site_fract_x
_atom_site_fract_y
_atom_site_fract_z
P1 P 0.820 0.215 0.892
P2 P 0.879 0.992 0.555
P3 P 0.595 0.034 0.441
P4 P 0.095 0.966 0.559
P5 P 0.320 0.785 0.108
P6 P 0.673 0.864 0.097
P7 P 0.379 0.008 0.445
P8 P 0.173 0.136 0.903
O1 O 0.114 0.178 0.063
O2 O 0.262 0.954 0.953
O3 O 0.614 0.822 0.937
O4 O 0.751 0.379 0.777
O5 O 0.109 0.964 0.775
O6 O 0.489 0.931 0.477
O7 O 0.867 0.727 0.508
O8 O 0.399 0.663 0.020
O9 O 0.657 0.841 0.546
O10 O 0.324 0.805 0.556
O11 O 0.711 0.637 0.213
O12 O 0.989 0.069 0.523
O13 O 0.899 0.337 0.980
O14 O 0.211 0.363 0.787
O15 O 0.762 0.046 0.047
O16 O 0.824 0.195 0.444
O17 O 0.367 0.273 0.492
O18 O 0.862 0.999 0.769
O19 O 0.609 0.036 0.225
O20 O 0.103 0.700 0.510
O21 O 0.251 0.621 0.223
O22 O 0.603 0.300 0.490
O23 O 0.362 0.001 0.231
O24 O 0.157 0.159 0.454
W1 W 0.236 0.488 0.505
W2 W 0.736 0.512 0.495
Li1 Li 0.010 0.374 0.103
Li2 Li 0.510 0.626 0.897

No. 7
# PBE with a Hubbard U LiP3W2O13, relaxed
# magnetic moment = 2.000 μB/f.u.
# E (MP2020) = -310.65 eV/cell
# energy relative to the elements = -2.4703 eV/atom
# polymorph energy (0 for the lowest one) = 7.5 meV per atom
data_LiP3W2O13
_chemical_formula_sum 'Li2 P6 W4 O26'
_cell_length_a 6.467
_cell_length_b 7.497
_cell_length_c 11.280
_cell_angle_alpha 74.92
_cell_angle_beta 85.50
_cell_angle_gamma 80.48
_space_group_name_H-M_alt 'P 1'
_space_group_IT_number 1
loop_
_space_group_symop_operation_xyz
'x,y,z'
loop_
_atom_site_label
_atom_site_type_symbol
_atom_site_fract_x
_atom_site_fract_y
_atom_site_fract_z
O1 O 0.132 0.386 0.199
O2 O 0.246 0.352 0.416
O3 O 0.909 0.201 0.099
O4 O 0.470 0.731 0.395
O5 O 0.091 0.799 0.901
O6 O 0.754 0.648 0.584
O7 O 0.750 0.621 0.055
O8 O 0.530 0.269 0.605
O9 O 0.887 0.538 0.339
O10 O 0.271 0.985 0.012
O11 O 0.756 0.005 0.751
O12 O 0.308 0.968 0.580
O13 O 0.237 0.655 0.254
O14 O 0.924 0.217 0.571
O15 O 0.692 0.032 0.420
O16 O 0.534 0.206 0.128
O17 O 0.729 0.015 0.988
O18 O 0.244 0.995 0.249
O19 O 0.223 0.102 0.786
O20 O 0.868 0.614 0.801
O21 O 0.466 0.794 0.872
O22 O 0.777 0.898 0.214
O23 O 0.113 0.462 0.661
O24 O 0.250 0.379 0.945
O25 O 0.763 0.345 0.746
O26 O 0.076 0.783 0.429
P1 P 0.259 0.801 0.334
P2 P 0.741 0.199 0.666
P3 P 0.262 0.926 0.892
P4 P 0.738 0.074 0.108
P5 P 0.882 0.526 0.692
P6 P 0.118 0.474 0.308
Li1 Li 0.735 0.434 0.205
Li2 Li 0.265 0.566 0.795
W1 W 0.775 0.789 0.914
W2 W 0.225 0.211 0.086
W3 W 0.759 0.805 0.404
W4 W 0.241 0.195 0.596